1.
# CaCr4P4O16 (PBE+U, optimized geometry)
# excess energy over the best structure of this formula in the dataset	18	meV per atom
# ΔE_f	-2.5814	eV/atom
# total magnetization	0.56	μB per atom
# final energy	-7.479	eV/atom
# mass density	3.19	g/cm3
data_CaCr4P4O16
_chemical_formula_sum 'Ca1 Cr4 P4 O16'
_cell_length_a 5.703
_cell_length_b 6.388
_cell_length_c 9.517
_cell_angle_alpha 76.30
_cell_angle_beta 78.62
_cell_angle_gamma 79.37
_space_group_name_H-M_alt 'P 1'
_space_group_IT_number 1
loop_
_space_group_symop_operation_xyz
'x,y,z'
loop_
_atom_site_label
_atom_site_type_symbol
_atom_site_fract_x
_atom_site_fract_y
_atom_site_fract_z
Ca1 Ca 0.000 0.000 0.000
Cr1 Cr 0.131 0.237 0.272
Cr2 Cr 0.279 0.322 0.641
Cr3 Cr 0.585 0.472 0.055
Cr4 Cr 0.660 0.573 0.416
P1 P 0.094 0.547 0.938
P2 P 0.225 0.691 0.314
P3 P 0.590 0.109 0.374
P4 P 0.710 0.251 0.745
O1 O 0.030 0.554 0.304
O2 O 0.093 0.321 0.050
O3 O 0.139 0.927 0.247
O4 O 0.144 0.501 0.783
O5 O 0.279 0.677 0.966
O6 O 0.281 0.634 0.474
O7 O 0.331 0.183 0.456
O8 O 0.487 0.621 0.233
O9 O 0.518 0.104 0.745
O10 O 0.582 0.158 0.207
O11 O 0.622 0.462 0.633
O12 O 0.679 0.868 0.430
O13 O 0.688 0.285 0.903
O14 O 0.757 0.254 0.406
O15 O 0.847 0.693 0.965
O16 O 0.981 0.161 0.702



2.
# Ca9CrP7O28 (PBE+U, optimized geometry)
# ΔE_f	-3.2477	eV/atom
# total magnetization	0.07	μB per atom
# final energy	-7.312	eV/atom
# mass density	3.04	g/cm3
data_Ca9CrP7O28
_chemical_formula_sum 'Ca54 Cr6 P42 O168'
_cell_length_a 10.4300
_cell_length_b 10.4300
_cell_length_c 37.5229
_cell_angle_alpha 90.00
_cell_angle_beta 90.00
_cell_angle_gamma 120.00
_space_group_name_H-M_alt 'R 3 c'
_space_group_IT_number 161
_space_group_name_Hall 'R 3 -2"c'
loop_
_atom_site_label
_atom_site_type_symbol
_atom_site_fract_x
_atom_site_fract_y
_atom_site_fract_z
Ca1 Ca 0.0425 0.5078 0.0000
Ca2 Ca 0.1858 0.3908 0.7393
Ca3 Ca 0.1871 0.3889 0.6321
Cr1 Cr 0.0000 0.0000 0.3975
P1 P 0.0000 0.0000 0.1289
P2 P 0.0094 0.4872 0.2006
P3 P 0.1581 0.3500 0.4287
O1 O 0.0000 0.0000 0.0875
O2 O 0.0318 0.2531 0.0134
O3 O 0.0441 0.5175 0.2405
O4 O 0.0581 0.3882 0.4522
O5 O 0.0620 0.3803 0.1875
O6 O 0.0829 0.1730 0.4323
O7 O 0.0976 0.4141 0.9435
O8 O 0.1464 0.0094 0.6417
O9 O 0.1499 0.3942 0.3903
O10 O 0.1693 0.0751 0.8613